! Li2FeCo3O8 | Materials Project | PBE with a Hubbard U | relaxed; values from VASP
&SYSTEM
  ibrav = 0, nat = 56, ntyp = 4
/
ATOMIC_SPECIES
Li 6.94 Li.upf
Fe 55.84 Fe.upf
Co 58.93 Co.upf
O 16.00 O.upf
CELL_PARAMETERS angstrom
8.1711 0.0000 0.0000
-0.0115 8.1745 0.0000
-0.0015 -0.0073 8.1782
ATOMIC_POSITIONS crystal
Li 0.0000 0.0000 0.0000
Li 0.0039 0.4950 0.5009
Li 0.2503 0.2436 0.7500
Li 0.2549 0.7450 0.2549
Li 0.5002 0.9958 0.5053
Li 0.5049 0.5002 0.0045
Li 0.7515 0.7490 0.7549
Li 0.7563 0.2484 0.2512
Fe 0.1266 0.6242 0.8787
Fe 0.3760 0.1199 0.1273
Fe 0.6300 0.3709 0.6273
Fe 0.8801 0.8761 0.3782
Co 0.1244 0.3723 0.1304
Co 0.1272 0.1251 0.3809
Co 0.1298 0.8760 0.6268
Co 0.3741 0.3741 0.3770
Co 0.3771 0.6259 0.6256
Co 0.3810 0.8721 0.8742
Co 0.6264 0.6239 0.3738
Co 0.6283 0.8688 0.1244
Co 0.6300 0.1191 0.8782
Co 0.8739 0.6188 0.1275
Co 0.8774 0.3693 0.8804
Co 0.8808 0.1213 0.6303
O 0.1090 0.3750 0.8971
O 0.1112 0.6018 0.1232
O 0.1140 0.1067 0.6139
O 0.1249 0.8885 0.3968
O 0.1328 0.1426 0.1435
O 0.1416 0.3595 0.3627
O 0.1443 0.8677 0.8579
O 0.1475 0.6405 0.6306
O 0.3585 0.3696 0.1471
O 0.3632 0.8580 0.6408
O 0.3638 0.1452 0.3736
O 0.3737 0.6366 0.8552
O 0.3809 0.3914 0.6085
O 0.3931 0.6077 0.3921
O 0.3974 0.8766 0.1112
O 0.4000 0.1076 0.8817
O 0.6080 0.6182 0.6098
O 0.6087 0.3911 0.3809
O 0.6152 0.8857 0.8930
O 0.6243 0.1031 0.1083
O 0.6286 0.8521 0.3575
O 0.6407 0.6368 0.1411
O 0.6430 0.1267 0.6476
O 0.6458 0.3543 0.8748
O 0.8536 0.6260 0.3623
O 0.8571 0.8549 0.1332
O 0.8614 0.1375 0.8654
O 0.8743 0.3577 0.6483
O 0.8820 0.6007 0.8924
O 0.8923 0.1169 0.3952
O 0.8926 0.3851 0.1132
O 0.8979 0.8863 0.6234
! energy of formation from the pure elements	-1.57	eV per atom
! polymorph energy (0 for the lowest one)	0.002	eV/atom
! magnetization	0.500	μB/atom



! Ca3V2O8 | Materials Project | PBE with a Hubbard U | relaxed; values from VASP
&SYSTEM
  ibrav = 0, nat = 13, ntyp = 3
/
ATOMIC_SPECIES
Ca 40.08 Ca.upf
V 50.94 V.upf
O 16.00 O.upf
CELL_PARAMETERS angstrom
2.8188 1.6274 6.3102
-2.8188 1.6274 6.3102
0.0000 -3.2549 6.3102
ATOMIC_POSITIONS crystal
Ca 0.0000 0.0000 0.0000
Ca 0.1952 0.1952 0.1952
Ca 0.8048 0.8048 0.8048
V 0.4038 0.4038 0.4038
V 0.5962 0.5962 0.5962
O 0.2264 0.7371 0.7371
O 0.2629 0.2629 0.7736
O 0.2629 0.7736 0.2629
O 0.3134 0.3134 0.3134
O 0.6866 0.6866 0.6866
O 0.7371 0.2264 0.7371
O 0.7371 0.7371 0.2264
O 0.7736 0.2629 0.2629
! energy of formation from the pure elements	-2.98	eV per atom
! polymorph energy (0 for the lowest one)	0.035	eV/atom